Record 1
A plane-wave DFT calculation with PBE was carried out for DyAlNi4 after structural relaxation.

a = 5.0298 Å, b = 5.0298 Å, c = 3.8576 Å
α = 90.00°, β = 90.00°, γ = 120.00°
Space group P-6m2 (No. 187)
Inequivalent atoms, fractional coordinates:
Dy 0.0000 0.0000 0.0000 x1
Al 0.3333 0.6667 0.0000 x1
Ni 0.5022 0.0044 0.5000 x3
Ni 0.6667 0.3333 0.0000 x1

E_form, eV per atom: -0.463

=====

Record 2
A plane-wave DFT calculation with PBE was carried out for Lu2AlSi2 after structural relaxation.

a = 3.9929 Å, b = 5.7602 Å, c = 8.4050 Å
α = 90.00°, β = 90.00°, γ = 90.00°
Space group Immm (No. 71)
Inequivalent atoms, fractional coordinates:
Lu 0.0000 0.0000 0.2112 x4
Al 0.0000 0.5000 0.0000 x2
Si 0.0000 0.2893 0.5000 x4

MP2020-corrected energy, eV per cell: -53.92
E_form, eV per atom: -0.664

=====

Record 3
A plane-wave DFT calculation with PBE was carried out for Pr3ReO8 after structural relaxation.

a = 7.5695 Å, b = 6.2408 Å, c = 15.1466 Å
α = 90.00°, β = 110.74°, γ = 90.00°
Space group P2_1/c (No. 14)
Inequivalent atoms, fractional coordinates:
Pr 0.0971 0.2373 0.2008 x4
Pr 0.1608 0.2018 0.4464 x4
Pr 0.3961 0.6883 0.3333 x4
Re 0.3205 0.7453 0.0909 x4
O 0.0948 0.7000 0.9843 x4
O 0.1467 0.0302 0.8393 x4
O 0.1715 0.6543 0.1680 x4
O 0.1826 0.5301 0.8270 x4
O 0.2531 0.0397 0.0962 x4
O 0.3753 0.0475 0.5896 x4
O 0.4708 0.6992 0.5218 x4
O 0.4745 0.2064 0.7916 x4

MP2020-corrected energy, eV per cell: -420.46
E_form, eV per atom: -3.229

=====

Record 4
A plane-wave DFT calculation with PBE was carried out for LiTi3O6 after structural relaxation.

a = 5.5953 Å, b = 9.2473 Å, c = 16.7497 Å
α = 90.00°, β = 90.00°, γ = 90.00°
Space group Fddd (No. 70, origin choice 2)
Inequivalent atoms, fractional coordinates:
Li 0.1250 0.1250 0.1250 x8
Ti 0.1250 0.1250 0.2940 x16
Ti 0.1250 0.1250 0.6250 x8
O 0.1178 0.3403 0.2940 x32
O 0.1250 0.3434 0.6250 x16

Offset from the most stable computed form, eV per formula unit: 0.07
MP2020-corrected energy, eV per cell: -705.00
E_form, eV per atom: -3.284

=====

The lowest E_form belongs to which entry?
LiTi3O6

=====

Among the records above, which one has the lowest E_form?
LiTi3O6

=====

Which of these has the highest E_form?
DyAlNi4

=====

What did the first record say?
A plane-wave DFT calculation with PBE was carried out for DyAlNi4 after structural relaxation.

a = 5.0298 Å, b = 5.0298 Å, c = 3.8576 Å
α = 90.00°, β = 90.00°, γ = 120.00°
Space group P-6m2 (No. 187)
Inequivalent atoms, fractional coordinates:
Dy 0.0000 0.0000 0.0000 x1
Al 0.3333 0.6667 0.0000 x1
Ni 0.5022 0.0044 0.5000 x3
Ni 0.6667 0.3333 0.0000 x1

E_form, eV per atom: -0.463